[1]
First-principles (PBE-GGA) data for Al3SiMo12 after structural relaxation, as listed in the Materials Project database.

CIF file:
```
data_Al3SiMo12
_cell_length_a 4.969
_cell_length_b 4.970
_cell_length_c 9.924
_cell_angle_alpha 90.00
_cell_angle_beta 90.00
_cell_angle_gamma 90.00
_space_group_name_H-M_alt 'P m m m'
_space_group_IT_number 47
loop_
_space_group_symop_operation_xyz
'x,y,z'
'-x,-y,-z'
'-x,-y,z'
'x,y,-z'
'x,-y,-z'
'-x,y,z'
'-x,y,-z'
'x,-y,z'
loop_
_atom_site_label
_atom_site_type_symbol
_atom_site_fract_x
_atom_site_fract_y
_atom_site_fract_z
Al1 Al 0.000 0.000 0.000
Al2 Al 0.500 0.500 0.250
Si1 Si 0.000 0.000 0.500
Mo1 Mo 0.000 0.249 0.251
Mo2 Mo 0.248 0.500 0.500
Mo3 Mo 0.250 0.500 0.000
Mo4 Mo 0.500 0.000 0.125
Mo5 Mo 0.500 0.000 0.376
```

[2]
First-principles (PBE-GGA) data for Sm6Al43Mo4 after structural relaxation, as listed in the Materials Project database.

CIF file:
```
data_Sm6Al43Mo4
_cell_length_a 11.0752
_cell_length_b 11.0752
_cell_length_c 17.7458
_cell_angle_alpha 90.00
_cell_angle_beta 90.00
_cell_angle_gamma 120.00
_space_group_name_H-M_alt 'P 63/m c m'
_space_group_IT_number 193
_space_group_name_Hall '-P 6c 2'
loop_
_atom_site_label
_atom_site_type_symbol
_atom_site_fract_x
_atom_site_fract_y
_atom_site_fract_z
Sm1 Sm 0.0000 0.4700 0.0952
Al1 Al 0.0000 0.1461 0.7500
Al2 Al 0.0000 0.1574 0.1156
Al3 Al 0.0000 0.2516 0.5312
Al4 Al 0.1477 0.5515 0.2500
Al5 Al 0.1582 0.3933 0.6646
Al6 Al 0.2470 0.4941 0.0000
Al7 Al 0.3333 0.6667 0.1269
Mo1 Mo 0.0000 0.0000 0.0000
Mo2 Mo 0.0000 0.2693 0.2500
```

One value per record, in order, for total moment: 0.001; 0.000 μB/cell.
One value per record, in order, for formation energy: -0.256; -0.320 eV/atom.